! Na2FeO2 GGA+U optimized geometry; values from VASP
! * maximum piezoelectric response: 0.54 C/m2
! * total magnetization: 0.000 μB/cell
! * calculated total energy: -5.001 eV per atom
&SYSTEM
  ibrav = 0, nat = 20, ntyp = 3
/
ATOMIC_SPECIES
O 16.00 O.upf
Na 22.99 Na.upf
Fe 55.84 Fe.upf
CELL_PARAMETERS angstrom
3.007 0.000 0.000
-1.503 5.296 8.506
1.503 -5.296 8.506
ATOMIC_POSITIONS crystal
O 0.273 0.475 0.929
Na 0.391 0.315 0.532
Na 0.391 0.815 0.032
O 0.727 0.179 0.725
Na 0.856 0.440 0.727
Na 0.144 0.477 0.190
O 0.515 0.061 0.031
Na 0.609 0.282 0.065
Fe 0.122 0.624 0.379
Fe 0.877 0.129 0.374
O 0.273 0.975 0.429
Fe 0.877 0.629 0.874
O 0.485 0.281 0.311
O 0.727 0.679 0.225
O 0.515 0.561 0.531
Na 0.144 0.977 0.690
O 0.485 0.781 0.811
Fe 0.123 0.124 0.879
Na 0.856 0.940 0.227
Na 0.609 0.782 0.565